# 1
Here is Tl2SeO4 after structural relaxation from Materials Project. Energies are from PBE.

- ΔE_f (eV per atom) = -1.2358
- largest piezoelectric modulus (C/m2) = 0.04

abc: 6.439 8.098 10.924
angles: 90.00 90.00 90.00
Atoms (fractional coordinates):
Tl: 0.025 0.244 0.211
Tl: 0.028 0.074 0.581
Tl: 0.472 0.926 0.081
Tl: 0.475 0.756 0.711
Tl: 0.525 0.256 0.789
Tl: 0.528 0.426 0.419
Tl: 0.972 0.574 0.919
Tl: 0.975 0.744 0.289
Se: 0.010 0.545 0.584
Se: 0.490 0.455 0.084
Se: 0.510 0.955 0.416
Se: 0.990 0.045 0.916
O: 0.047 0.951 0.050
O: 0.072 0.743 0.555
O: 0.197 0.030 0.823
O: 0.215 0.452 0.650
O: 0.285 0.548 0.150
O: 0.303 0.970 0.323
O: 0.428 0.257 0.055
O: 0.453 0.049 0.550
O: 0.547 0.549 0.950
O: 0.572 0.757 0.445
O: 0.697 0.470 0.177
O: 0.715 0.048 0.350
O: 0.785 0.952 0.850
O: 0.803 0.530 0.677
O: 0.928 0.243 0.945
O: 0.953 0.451 0.450

=====

# 2
Here is Tl2Se3O9 after structural relaxation from Materials Project. Energies are from PBE.

- ΔE_f (eV per atom) = -1.2063

abc: 4.800 11.549 17.796
angles: 90.00 100.01 90.00
Atoms (fractional coordinates):
Tl: 0.115 0.148 0.373
Tl: 0.115 0.352 0.873
Tl: 0.377 0.561 0.704
Tl: 0.377 0.939 0.204
Tl: 0.623 0.061 0.796
Tl: 0.623 0.439 0.296
Tl: 0.885 0.648 0.127
Tl: 0.885 0.852 0.627
Se: 0.129 0.678 0.307
Se: 0.129 0.822 0.807
Se: 0.228 0.105 0.948
Se: 0.228 0.395 0.448
Se: 0.314 0.054 0.594
Se: 0.314 0.446 0.094
Se: 0.686 0.554 0.906
Se: 0.686 0.946 0.406
Se: 0.772 0.605 0.552
Se: 0.772 0.895 0.052
Se: 0.871 0.178 0.193
Se: 0.871 0.322 0.693
O: 0.048 0.531 0.914
O: 0.048 0.969 0.414
O: 0.067 0.529 0.593
O: 0.067 0.971 0.093
O: 0.082 0.073 0.250
O: 0.082 0.427 0.750
O: 0.102 0.237 0.974
O: 0.102 0.263 0.474
O: 0.167 0.745 0.723
O: 0.167 0.755 0.223
O: 0.361 0.164 0.870
O: 0.361 0.336 0.370
O: 0.408 0.121 0.682
O: 0.408 0.379 0.182
O: 0.413 0.589 0.110
O: 0.413 0.911 0.610
O: 0.435 0.606 0.338
O: 0.435 0.894 0.838
O: 0.565 0.106 0.162
O: 0.565 0.394 0.662
O: 0.587 0.089 0.390
O: 0.587 0.411 0.890
O: 0.592 0.621 0.818
O: 0.592 0.879 0.318
O: 0.639 0.664 0.630
O: 0.639 0.836 0.130
O: 0.833 0.245 0.777
O: 0.833 0.255 0.277
O: 0.898 0.737 0.526
O: 0.898 0.763 0.026
O: 0.918 0.573 0.250
O: 0.918 0.927 0.750
O: 0.933 0.029 0.907
O: 0.933 0.471 0.407
O: 0.952 0.031 0.586
O: 0.952 0.469 0.086

=====

# 3
Here is Tl2SeO4 after structural relaxation from Materials Project. Energies are from PBE.

- M_tot (μB per cell) = 0.0
- ΔE_f (eV per atom) = -1.2251

abc: 6.389 6.389 8.147
angles: 90.21 90.21 116.62
Atoms (fractional coordinates):
Tl: 0.000 0.000 0.000
Tl: 0.000 0.000 0.500
Tl: 0.332 0.663 0.245
Tl: 0.663 0.332 0.745
Se: 0.344 0.656 0.747
Se: 0.656 0.344 0.247
O: 0.232 0.361 0.756
O: 0.251 0.734 0.576
O: 0.264 0.758 0.912
O: 0.361 0.232 0.256
O: 0.640 0.763 0.743
O: 0.734 0.251 0.076
O: 0.758 0.264 0.412
O: 0.763 0.640 0.243

=====

# 4
Here is Tl2Se3O12 after structural relaxation from Materials Project. Energies are from PBE.

- M_tot (μB per cell) = 0.1
- ΔE_f (eV per atom) = -1.0879

abc: 9.166 9.480 15.687
angles: 90.00 124.74 90.00
Atoms (fractional coordinates):
Tl: 0.137 0.032 0.388
Tl: 0.137 0.468 0.888
Tl: 0.362 0.035 0.114
Tl: 0.362 0.465 0.614
Tl: 0.638 0.535 0.386
Tl: 0.638 0.965 0.886
Tl: 0.863 0.532 0.112
Tl: 0.863 0.968 0.612
Se: 0.037 0.618 0.647
Se: 0.037 0.882 0.147
Se: 0.257 0.121 0.656
Se: 0.257 0.379 0.156
Se: 0.456 0.747 0.997
Se: 0.456 0.753 0.497
Se: 0.544 0.247 0.503
Se: 0.544 0.253 0.003
Se: 0.743 0.621 0.844
Se: 0.743 0.879 0.344
Se: 0.963 0.118 0.853
Se: 0.963 0.382 0.353
O: 0.045 0.723 0.197
O: 0.045 0.777 0.697
O: 0.127 0.080 0.696
O: 0.127 0.420 0.196
O: 0.130 0.004 0.241
O: 0.130 0.496 0.741
O: 0.140 0.109 0.527
O: 0.140 0.391 0.027
O: 0.154 0.621 0.594
O: 0.154 0.879 0.094
O: 0.177 0.077 0.941
O: 0.177 0.423 0.441
O: 0.251 0.689 0.952
O: 0.251 0.811 0.452
O: 0.315 0.210 0.193
O: 0.315 0.290 0.693
O: 0.402 0.115 0.435
O: 0.402 0.385 0.935
O: 0.435 0.015 0.712
O: 0.435 0.485 0.212
O: 0.464 0.704 0.397
O: 0.464 0.796 0.897
O: 0.490 0.120 0.919
O: 0.490 0.380 0.419
O: 0.510 0.620 0.581
O: 0.510 0.880 0.081
O: 0.536 0.204 0.103
O: 0.536 0.296 0.603
O: 0.565 0.515 0.788
O: 0.565 0.985 0.288
O: 0.598 0.615 0.065
O: 0.598 0.885 0.565
O: 0.685 0.710 0.307
O: 0.685 0.790 0.807
O: 0.749 0.189 0.548
O: 0.749 0.311 0.048
O: 0.823 0.577 0.559
O: 0.823 0.923 0.059
O: 0.846 0.121 0.906
O: 0.846 0.379 0.406
O: 0.860 0.609 0.973
O: 0.860 0.891 0.473
O: 0.870 0.504 0.259
O: 0.870 0.996 0.759
O: 0.873 0.580 0.804
O: 0.873 0.920 0.304
O: 0.955 0.223 0.303
O: 0.955 0.277 0.803